This record from the Materials Project describes an optimized crystal structure of CeSe2. The functional is GGA-PBE.

Calculated values
* calculated total energy: -5.8482 eV/atom
* E (MP2020): -18.489 eV for the cell shown
* energy relative to the elements: -1.855 eV/atom

Cell: 16.0482 16.0482 16.0482 Å, 15.31 15.31 15.31°
Positions (direct):
1 Ce 0.5000 0.5000 0.5000
2 Se 0.8640 0.8640 0.8640
3 Se 0.1360 0.1360 0.1360